1.
The following is a DFT calculation (PBE) of a geometry-optimized Cs3Au2Br11 structure.

**Crystal system**: monoclinic
**Symmetry**: No. 14
**MP2020-corrected energy**: -2.904 eV/atom
**Total magnetic moment**: 0.03 μB/f.u.

Cell: 16.919 7.889 19.224 Å, 86.15 90.00 90.00°
Positions (direct):
Cs1 0.024 0.765 0.901
Cs2 0.868 0.253 0.576
Cs3 0.776 0.742 0.326
Cs4 0.276 0.258 0.174
Cs5 0.724 0.742 0.826
Cs6 0.368 0.747 0.924
Cs7 0.524 0.235 0.599
Cs8 0.476 0.765 0.401
Cs9 0.976 0.235 0.099
Cs10 0.632 0.253 0.076
Cs11 0.132 0.747 0.424
Cs12 0.224 0.258 0.674
Br1 0.329 0.497 0.514
Br2 0.798 0.386 0.210
Br3 0.671 0.503 0.486
Br4 0.796 0.967 0.145
Br5 0.832 0.071 0.925
Br6 0.202 0.614 0.790
Br7 0.167 0.260 0.459
Br8 0.442 0.020 0.761
Br9 0.563 0.023 0.909
Br10 0.937 0.023 0.409
Br11 0.731 0.230 0.318
Br12 0.956 0.738 0.088
Br13 0.058 0.020 0.261
Br14 0.829 0.503 0.986
Br15 0.063 0.977 0.591
Br16 0.052 0.532 0.598
Br17 0.568 0.538 0.248
Br18 0.702 0.386 0.710
Br19 0.942 0.980 0.739
Br20 0.456 0.262 0.412
Br21 0.932 0.538 0.748
Br22 0.044 0.262 0.912
Br23 0.704 0.967 0.645
Br24 0.668 0.071 0.425
Br25 0.432 0.462 0.752
Br26 0.667 0.740 0.041
Br27 0.769 0.230 0.818
Br28 0.448 0.532 0.098
Br29 0.544 0.738 0.588
Br30 0.168 0.929 0.075
Br31 0.269 0.770 0.682
Br32 0.204 0.033 0.855
Br33 0.171 0.497 0.014
Br34 0.333 0.260 0.959
Br35 0.231 0.770 0.182
Br36 0.558 0.980 0.239
Br37 0.437 0.977 0.091
Br38 0.948 0.468 0.402
Br39 0.298 0.614 0.290
Br40 0.552 0.468 0.902
Br41 0.332 0.929 0.575
Br42 0.296 0.033 0.355
Br43 0.833 0.740 0.541
Br44 0.068 0.462 0.252
Au1 0.498 0.244 0.831
Au2 0.502 0.756 0.169
Au3 0.189 0.264 0.935
Au4 0.311 0.264 0.435
Au5 0.689 0.736 0.565
Au6 0.002 0.244 0.331
Au7 0.811 0.736 0.065
Au8 0.998 0.756 0.669

2.
The following is a DFT calculation (PBE) of a geometry-optimized Cs2GaAuBr6 structure.

**Crystal system**: cubic
**Symmetry**: No. 225
**MP2020-corrected energy**: -3.126 eV/atom
**Total magnetic moment**: 0.00 μB/f.u.

Cell: 7.751 7.751 7.751 Å, 60.00 60.00 60.00°
Positions (direct):
Br1 0.758 0.242 0.242
Br2 0.758 0.242 0.758
Br3 0.758 0.758 0.242
Br4 0.242 0.758 0.242
Br5 0.242 0.758 0.758
Br6 0.242 0.242 0.758
Cs1 0.750 0.750 0.750
Cs2 0.250 0.250 0.250
Ga1 0.000 0.000 0.000
Au1 0.500 0.500 0.500

3.
The following is a DFT calculation (PBE) of a geometry-optimized Cs2HgAuBr6 structure.

**Crystal system**: cubic
**Symmetry**: No. 225
**MP2020-corrected energy**: -2.742 eV/atom
**Total magnetic moment**: 0.00 μB/f.u.

Cell: 7.897 7.897 7.897 Å, 60.00 60.00 60.00°
Positions (direct):
Cs1 0.250 0.250 0.250
Cs2 0.750 0.750 0.750
Hg1 0.500 0.500 0.500
Br1 0.756 0.756 0.244
Br2 0.244 0.756 0.244
Br3 0.244 0.244 0.756
Br4 0.756 0.244 0.756
Br5 0.756 0.244 0.244
Br6 0.244 0.756 0.756
Au1 0.000 0.000 0.000

4.
The following is a DFT calculation (PBE) of a geometry-optimized Cs2InAuBr6 structure.

**Crystal system**: cubic
**Symmetry**: No. 225
**MP2020-corrected energy**: -3.141 eV/atom
**Total magnetic moment**: 0.00 μB/f.u.

Cell: 7.917 7.917 7.917 Å, 60.00 60.00 60.00°
Positions (direct):
Br1 0.753 0.247 0.247
Br2 0.753 0.753 0.247
Br3 0.247 0.753 0.753
Br4 0.247 0.247 0.753
Br5 0.753 0.247 0.753
Br6 0.247 0.753 0.247
In1 0.000 0.000 0.000
Au1 0.500 0.500 0.500
Cs1 0.250 0.250 0.250
Cs2 0.750 0.750 0.750

5.
The following is a DFT calculation (PBE) of a geometry-optimized Cs2KAuBr6 structure.

**Crystal system**: cubic
**Symmetry**: No. 225
**MP2020-corrected energy**: -2.985 eV/atom
**Total magnetic moment**: 2.00 μB/f.u.

Cell: 8.256 8.256 8.256 Å, 60.00 60.00 60.00°
Positions (direct):
Cs1 0.250 0.250 0.250
Cs2 0.750 0.750 0.750
Br1 0.229 0.771 0.771
Br2 0.771 0.229 0.229
Br3 0.771 0.229 0.771
Br4 0.771 0.771 0.229
Br5 0.229 0.771 0.229
Br6 0.229 0.229 0.771
Au1 0.000 0.000 0.000
K1 0.500 0.500 0.500

6.
The following is a DFT calculation (PBE) of a geometry-optimized Cs2ScAuBr6 structure.

**Crystal system**: cubic
**Symmetry**: No. 225
**MP2020-corrected energy**: -3.841 eV/atom
**Total magnetic moment**: 0.00 μB/f.u.

Cell: 7.881 7.881 7.881 Å, 60.00 60.00 60.00°
Positions (direct):
Br1 0.241 0.759 0.241
Br2 0.759 0.241 0.759
Br3 0.241 0.241 0.759
Br4 0.241 0.759 0.759
Br5 0.759 0.241 0.241
Br6 0.759 0.759 0.241
Au1 0.500 0.500 0.500
Cs1 0.250 0.250 0.250
Cs2 0.750 0.750 0.750
Sc1 0.000 0.000 0.000

7.
The following is a DFT calculation (PBE) of a geometry-optimized Cs2YAuBr6 structure.

**Crystal system**: cubic
**Symmetry**: No. 225
**MP2020-corrected energy**: -3.922 eV/atom
**Total magnetic moment**: 0.00 μB/f.u.

Cell: 8.054 8.054 8.054 Å, 60.00 60.00 60.00°
Positions (direct):
Cs1 0.250 0.250 0.250
Cs2 0.750 0.750 0.750
Br1 0.247 0.753 0.753
Br2 0.753 0.247 0.247
Br3 0.753 0.753 0.247
Br4 0.753 0.247 0.753
Br5 0.247 0.247 0.753
Br6 0.247 0.753 0.247
Au1 0.500 0.500 0.500
Y1 0.000 0.000 0.000

8.
The following is a DFT calculation (PBE) of a geometry-optimized K2GaAuBr6 structure.

**Crystal system**: cubic
**Symmetry**: No. 225
**MP2020-corrected energy**: -3.108 eV/atom
**Total magnetic moment**: 0.00 μB/f.u.

Cell: 7.641 7.641 7.641 Å, 60.00 60.00 60.00°
Positions (direct):
K1 0.750 0.750 0.750
K2 0.250 0.250 0.250
Br1 0.243 0.243 0.757
Br2 0.757 0.757 0.243
Br3 0.757 0.243 0.757
Br4 0.243 0.757 0.243
Br5 0.757 0.243 0.243
Br6 0.243 0.757 0.757
Au1 0.500 0.500 0.500
Ga1 0.000 0.000 0.000

9.
The following is a DFT calculation (PBE) of a geometry-optimized Rb2GaAuBr6 structure.

**Crystal system**: cubic
**Symmetry**: No. 225
**MP2020-corrected energy**: -3.113 eV/atom
**Total magnetic moment**: 0.00 μB/f.u.

Cell: 7.682 7.682 7.682 Å, 60.00 60.00 60.00°
Positions (direct):
Rb1 0.250 0.250 0.250
Rb2 0.750 0.750 0.750
Br1 0.757 0.243 0.757
Br2 0.243 0.243 0.757
Br3 0.243 0.757 0.757
Br4 0.243 0.757 0.243
Br5 0.757 0.243 0.243
Br6 0.757 0.757 0.243
Ga1 0.000 0.000 0.000
Au1 0.500 0.500 0.500

10.
The following is a DFT calculation (PBE) of a geometry-optimized H6AuBrN2 structure.

**Crystal system**: orthorhombic
**Symmetry**: No. 62
**MP2020-corrected energy**: -4.640 eV/atom
**Total magnetic moment**: 0.00 μB/f.u.

Cell: 7.076 11.606 13.279 Å, 90.00 90.00 90.00°
Positions (direct):
Au1 0.321 0.250 0.580
Au2 0.821 0.250 0.920
Au3 0.364 0.750 0.622
Au4 0.864 0.750 0.878
Au5 0.636 0.250 0.378
Au6 0.179 0.750 0.080
Au7 0.136 0.250 0.122
Au8 0.679 0.750 0.420
N1 0.861 0.927 0.877
N2 0.023 0.250 0.810
N3 0.139 0.427 0.123
N4 0.361 0.573 0.623
N5 0.111 0.250 0.474
N6 0.977 0.750 0.190
N7 0.523 0.250 0.690
N8 0.361 0.927 0.623
N9 0.611 0.250 0.026
N10 0.139 0.073 0.123
N11 0.477 0.750 0.310
N12 0.389 0.750 0.974
N13 0.861 0.573 0.877
N14 0.639 0.427 0.377
N15 0.639 0.073 0.377
N16 0.889 0.750 0.526
H1 0.008 0.459 0.103
H2 0.239 0.458 0.074
H3 0.971 0.823 0.517
H4 0.668 0.042 0.305
H5 0.332 0.958 0.695
H6 0.332 0.750 0.903
H7 0.029 0.177 0.483
H8 0.109 0.178 0.817
H9 0.492 0.959 0.603
H10 0.008 0.041 0.103
H11 0.109 0.322 0.817
H12 0.668 0.458 0.305
H13 0.471 0.823 0.983
H14 0.739 0.042 0.426
H15 0.168 0.458 0.195
H16 0.992 0.541 0.897
H17 0.261 0.542 0.574
H18 0.463 0.250 0.760
H19 0.832 0.750 0.597
H20 0.971 0.677 0.517
H21 0.992 0.959 0.897
H22 0.391 0.822 0.317
H23 0.529 0.177 0.017
H24 0.609 0.178 0.683
H25 0.761 0.542 0.926
H26 0.029 0.323 0.483
H27 0.891 0.822 0.183
H28 0.537 0.750 0.240
H29 0.668 0.250 0.097
H30 0.609 0.322 0.683
H31 0.168 0.042 0.195
H32 0.391 0.678 0.317
H33 0.492 0.541 0.603
H34 0.261 0.958 0.574
H35 0.168 0.250 0.403
H36 0.508 0.041 0.397
H37 0.037 0.750 0.260
H38 0.332 0.542 0.695
H39 0.832 0.542 0.805
H40 0.239 0.042 0.074
H41 0.832 0.958 0.805
H42 0.891 0.678 0.183
H43 0.529 0.323 0.017
H44 0.508 0.459 0.397
H45 0.739 0.458 0.426
H46 0.471 0.677 0.983
H47 0.963 0.250 0.740
H48 0.761 0.958 0.926
Br1 0.658 0.966 0.128
Br2 0.342 0.466 0.872
Br3 0.158 0.966 0.372
Br4 0.658 0.534 0.128
Br5 0.842 0.466 0.628
Br6 0.842 0.034 0.628
Br7 0.342 0.034 0.872
Br8 0.158 0.534 0.372

11.
The following is a DFT calculation (PBE) of a geometry-optimized K2InAuBr6 structure.

**Crystal system**: cubic
**Symmetry**: No. 225
**MP2020-corrected energy**: -3.110 eV/atom
**Total magnetic moment**: 0.00 μB/f.u.

Cell: 7.829 7.829 7.829 Å, 60.00 60.00 60.00°
Positions (direct):
Br1 0.248 0.752 0.752
Br2 0.248 0.248 0.752
Br3 0.248 0.752 0.248
Br4 0.752 0.752 0.248
Br5 0.752 0.248 0.752
Br6 0.752 0.248 0.248
Au1 0.500 0.500 0.500
K1 0.750 0.750 0.750
K2 0.250 0.250 0.250
In1 0.000 0.000 0.000

12.
The following is a DFT calculation (PBE) of a geometry-optimized Rb2InAuBr6 structure.

**Crystal system**: cubic
**Symmetry**: No. 225
**MP2020-corrected energy**: -3.120 eV/atom
**Total magnetic moment**: 0.00 μB/f.u.

Cell: 7.863 7.863 7.863 Å, 60.00 60.00 60.00°
Positions (direct):
Br1 0.248 0.752 0.248
Br2 0.752 0.248 0.752
Br3 0.752 0.248 0.248
Br4 0.248 0.248 0.752
Br5 0.752 0.752 0.248
Br6 0.248 0.752 0.752
Au1 0.500 0.500 0.500
Rb1 0.750 0.750 0.750
Rb2 0.250 0.250 0.250
In1 0.000 0.000 0.000

Question: Which value of total magnetic moment does entry 10 give?
Answer: 0.00 μB/f.u.